VASP calculation (meta-GGA r2SCAN) on a geometry-optimized SmAu structure.

The structure in CIF format:
```
data_SmAu
_chemical_formula_sum 'Sm4 Au4'
_symmetry_space_group_name_H-M 'P 1'
_symmetry_Int_Tables_number 1
_symmetry_space_group_name_Hall 'P 1'
_cell_length_a 7.379
_cell_length_b 4.784
_cell_length_c 5.683
_cell_angle_alpha 90.00
_cell_angle_beta 90.00
_cell_angle_gamma 90.00
loop_
_atom_site_label
_atom_site_type_symbol
_atom_site_fract_x
_atom_site_fract_y
_atom_site_fract_z
Sm1 Sm 0.188 0.250 0.147
Sm2 Sm 0.312 0.750 0.647
Sm3 Sm 0.688 0.250 0.353
Sm4 Sm 0.812 0.750 0.853
Au1 Au 0.040 0.250 0.652
Au2 Au 0.460 0.750 0.152
Au3 Au 0.540 0.250 0.848
Au4 Au 0.960 0.750 0.348
```

Results
* calculated volume: 25.08 Å³ per atom
* DFT total energy: -41.092 eV per atom
* energy of formation: -0.9332 eV/atom



VASP calculation (meta-GGA r2SCAN) on a geometry-optimized KSrI3 structure.

The structure in CIF format:
```
data_KSrI3
_chemical_formula_sum 'K2 Sr2 I6'
_symmetry_space_group_name_H-M 'P 1'
_symmetry_Int_Tables_number 1
_symmetry_space_group_name_Hall 'P 1'
_cell_length_a 8.113
_cell_length_b 8.113
_cell_length_c 12.053
_cell_angle_alpha 90.00
_cell_angle_beta 90.00
_cell_angle_gamma 145.98
loop_
_atom_site_label
_atom_site_type_symbol
_atom_site_fract_x
_atom_site_fract_y
_atom_site_fract_z
K1 K 0.250 0.750 0.750
K2 K 0.750 0.250 0.250
Sr1 Sr 0.000 0.000 0.000
Sr2 Sr 0.000 0.000 0.500
I1 I 0.081 0.919 0.250
I2 I 0.360 0.640 0.063
I3 I 0.360 0.640 0.437
I4 I 0.640 0.360 0.563
I5 I 0.640 0.360 0.937
I6 I 0.919 0.081 0.750
```

Results
* calculated volume: 44.39 Å³ per atom
* DFT total energy: -20.821 eV per atom
* energy of formation: -1.8530 eV/atom



VASP calculation (meta-GGA r2SCAN) on a geometry-optimized Er2Ga3Co structure.

The structure in CIF format:
```
data_Er2Ga3Co
_chemical_formula_sum 'Er8 Ga12 Co4'
_symmetry_space_group_name_H-M 'P 1'
_symmetry_Int_Tables_number 1
_symmetry_space_group_name_Hall 'P 1'
_cell_length_a 8.673
_cell_length_b 8.673
_cell_length_c 6.878
_cell_angle_alpha 90.00
_cell_angle_beta 90.00
_cell_angle_gamma 120.00
loop_
_atom_site_label
_atom_site_type_symbol
_atom_site_fract_x
_atom_site_fract_y
_atom_site_fract_z
Er1 Er 0.000 0.000 0.250
Er2 Er 0.000 0.000 0.750
Er3 Er 0.042 0.521 0.250
Er4 Er 0.479 0.521 0.250
Er5 Er 0.479 0.958 0.250
Er6 Er 0.521 0.042 0.750
Er7 Er 0.521 0.479 0.750
Er8 Er 0.958 0.479 0.750
Ga1 Ga 0.172 0.344 0.545
Ga2 Ga 0.172 0.344 0.955
Ga3 Ga 0.172 0.828 0.545
Ga4 Ga 0.172 0.828 0.955
Ga5 Ga 0.344 0.172 0.045
Ga6 Ga 0.344 0.172 0.455
Ga7 Ga 0.656 0.828 0.545
Ga8 Ga 0.656 0.828 0.955
Ga9 Ga 0.828 0.172 0.045
Ga10 Ga 0.828 0.172 0.455
Ga11 Ga 0.828 0.656 0.045
Ga12 Ga 0.828 0.656 0.455
Co1 Co 0.333 0.667 0.503
Co2 Co 0.333 0.667 0.997
Co3 Co 0.667 0.333 0.003
Co4 Co 0.667 0.333 0.497
```

Results
* calculated volume: 18.67 Å³ per atom
* DFT total energy: -19.868 eV per atom
* energy of formation: -0.6321 eV/atom



VASP calculation (meta-GGA r2SCAN) on a geometry-optimized Dy2GaAg structure.

The structure in CIF format:
```
data_Dy2GaAg
_chemical_formula_sum 'Dy2 Ga1 Ag1'
_symmetry_space_group_name_H-M 'P 1'
_symmetry_Int_Tables_number 1
_symmetry_space_group_name_Hall 'P 1'
_cell_length_a 5.077
_cell_length_b 5.077
_cell_length_c 5.077
_cell_angle_alpha 60.00
_cell_angle_beta 60.00
_cell_angle_gamma 60.00
loop_
_atom_site_label
_atom_site_type_symbol
_atom_site_fract_x
_atom_site_fract_y
_atom_site_fract_z
Dy1 Dy 0.250 0.250 0.250
Dy2 Dy 0.750 0.750 0.750
Ga1 Ga 0.000 0.000 0.000
Ag1 Ag 0.500 0.500 0.500
```

Results
* calculated volume: 23.14 Å³ per atom
* DFT total energy: -24.715 eV per atom
* energy of formation: -0.5244 eV/atom



VASP calculation (meta-GGA r2SCAN) on a geometry-optimized LiMg3 structure.

The structure in CIF format:
```
data_LiMg3
_chemical_formula_sum 'Li1 Mg3'
_symmetry_space_group_name_H-M 'P 1'
_symmetry_Int_Tables_number 1
_symmetry_space_group_name_Hall 'P 1'
_cell_length_a 3.146
_cell_length_b 3.146
_cell_length_c 10.122
_cell_angle_alpha 90.00
_cell_angle_beta 90.00
_cell_angle_gamma 120.00
loop_
_atom_site_label
_atom_site_type_symbol
_atom_site_fract_x
_atom_site_fract_y
_atom_site_fract_z
Li1 Li 0.000 0.000 0.000
Mg1 Mg 0.000 0.000 0.500
Mg2 Mg 0.333 0.667 0.243
Mg3 Mg 0.333 0.667 0.757
```

Results
* calculated volume: 21.69 Å³ per atom
* DFT total energy: -3.744 eV per atom
* energy of formation: -0.0205 eV/atom



VASP calculation (meta-GGA r2SCAN) on a geometry-optimized W6CCl18 structure.

The structure in CIF format:
```
data_W6CCl18
_chemical_formula_sum 'W12 C2 Cl36'
_symmetry_space_group_name_H-M 'P 1'
_symmetry_Int_Tables_number 1
_symmetry_space_group_name_Hall 'P 1'
_cell_length_a 9.105
_cell_length_b 9.105
_cell_length_c 17.834
_cell_angle_alpha 90.00
_cell_angle_beta 90.00
_cell_angle_gamma 120.00
loop_
_atom_site_label
_atom_site_type_symbol
_atom_site_fract_x
_atom_site_fract_y
_atom_site_fract_z
W1 W 0.149 0.508 0.168
W2 W 0.149 0.508 0.332
W3 W 0.359 0.851 0.168
W4 W 0.359 0.851 0.332
W5 W 0.492 0.641 0.168
W6 W 0.492 0.641 0.332
W7 W 0.508 0.149 0.668
W8 W 0.508 0.149 0.832
W9 W 0.641 0.492 0.668
W10 W 0.641 0.492 0.832
W11 W 0.851 0.359 0.668
W12 W 0.851 0.359 0.832
C1 C 0.333 0.667 0.250
C2 C 0.667 0.333 0.750
Cl1 Cl 0.056 0.578 0.750
Cl2 Cl 0.097 0.391 0.604
Cl3 Cl 0.097 0.391 0.896
Cl4 Cl 0.103 0.275 0.250
Cl5 Cl 0.137 0.698 0.079
Cl6 Cl 0.137 0.698 0.421
Cl7 Cl 0.171 0.897 0.250
Cl8 Cl 0.275 0.103 0.750
Cl9 Cl 0.294 0.903 0.604
Cl10 Cl 0.294 0.903 0.896
Cl11 Cl 0.302 0.439 0.079
Cl12 Cl 0.302 0.439 0.421
Cl13 Cl 0.391 0.097 0.104
Cl14 Cl 0.391 0.097 0.396
Cl15 Cl 0.422 0.478 0.750
Cl16 Cl 0.439 0.302 0.579
Cl17 Cl 0.439 0.302 0.921
Cl18 Cl 0.478 0.422 0.250
Cl19 Cl 0.522 0.944 0.750
Cl20 Cl 0.561 0.863 0.079
Cl21 Cl 0.561 0.863 0.421
Cl22 Cl 0.578 0.056 0.250
Cl23 Cl 0.609 0.706 0.604
Cl24 Cl 0.609 0.706 0.896
Cl25 Cl 0.698 0.137 0.579
Cl26 Cl 0.698 0.137 0.921
Cl27 Cl 0.706 0.609 0.104
Cl28 Cl 0.706 0.609 0.396
Cl29 Cl 0.725 0.829 0.250
Cl30 Cl 0.829 0.725 0.750
Cl31 Cl 0.863 0.561 0.579
Cl32 Cl 0.863 0.561 0.921
Cl33 Cl 0.897 0.171 0.750
Cl34 Cl 0.903 0.294 0.104
Cl35 Cl 0.903 0.294 0.396
Cl36 Cl 0.944 0.522 0.250
```

Results
* calculated volume: 25.61 Å³ per atom
* DFT total energy: -18.057 eV per atom
* energy of formation: -0.9013 eV/atom



VASP calculation (meta-GGA r2SCAN) on a geometry-optimized LaSi2Pd2 structure.

The structure in CIF format:
```
data_LaSi2Pd2
_chemical_formula_sum 'La1 Si2 Pd2'
_symmetry_space_group_name_H-M 'P 1'
_symmetry_Int_Tables_number 1
_symmetry_space_group_name_Hall 'P 1'
_cell_length_a 4.294
_cell_length_b 4.294
_cell_length_c 5.808
_cell_angle_alpha 111.57
_cell_angle_beta 111.57
_cell_angle_gamma 90.08
loop_
_atom_site_label
_atom_site_type_symbol
_atom_site_fract_x
_atom_site_fract_y
_atom_site_fract_z
La1 La 0.000 0.000 0.000
Si1 Si 0.379 0.379 0.758
Si2 Si 0.621 0.621 0.242
Pd1 Pd 0.250 0.750 0.500
Pd2 Pd 0.750 0.250 0.500
```

Results
* calculated volume: 18.29 Å³ per atom
* DFT total energy: -19.604 eV per atom
* energy of formation: -0.9618 eV/atom



VASP calculation (meta-GGA r2SCAN) on a geometry-optimized VZn2N3 structure.

The structure in CIF format:
```
data_VZn2N3
_chemical_formula_sum 'V2 Zn4 N6'
_symmetry_space_group_name_H-M 'P 1'
_symmetry_Int_Tables_number 1
_symmetry_space_group_name_Hall 'P 1'
_cell_length_a 5.503
_cell_length_b 5.503
_cell_length_c 5.240
_cell_angle_alpha 90.00
_cell_angle_beta 90.00
_cell_angle_gamma 60.71
loop_
_atom_site_label
_atom_site_type_symbol
_atom_site_fract_x
_atom_site_fract_y
_atom_site_fract_z
V1 V 0.162 0.838 0.500
V2 V 0.838 0.162 0.000
Zn1 Zn 0.170 0.497 0.011
Zn2 Zn 0.497 0.170 0.511
Zn3 Zn 0.503 0.830 0.011
Zn4 Zn 0.830 0.503 0.511
N1 N 0.146 0.854 0.857
N2 N 0.167 0.528 0.397
N3 N 0.472 0.833 0.397
N4 N 0.528 0.167 0.897
N5 N 0.833 0.472 0.897
N6 N 0.854 0.146 0.357
```

Results
* calculated volume: 11.53 Å³ per atom
* DFT total energy: -10.480 eV per atom
* energy of formation: -0.5968 eV/atom



VASP calculation (meta-GGA r2SCAN) on a geometry-optimized YbNdO2 structure.

The structure in CIF format:
```
data_YbNdO2
_chemical_formula_sum 'Yb2 Nd2 O4'
_symmetry_space_group_name_H-M 'P 1'
_symmetry_Int_Tables_number 1
_symmetry_space_group_name_Hall 'P 1'
_cell_length_a 5.930
_cell_length_b 5.930
_cell_length_c 5.930
_cell_angle_alpha 131.36
_cell_angle_beta 131.36
_cell_angle_gamma 71.24
loop_
_atom_site_label
_atom_site_type_symbol
_atom_site_fract_x
_atom_site_fract_y
_atom_site_fract_z
Yb1 Yb 0.375 0.625 0.750
Yb2 Yb 0.625 0.375 0.250
Nd1 Nd 0.125 0.875 0.250
Nd2 Nd 0.875 0.125 0.750
O1 O 0.141 0.391 0.750
O2 O 0.391 0.141 0.250
O3 O 0.609 0.859 0.750
O4 O 0.859 0.609 0.250
```

Results
* calculated volume: 14.37 Å³ per atom
* DFT total energy: -22.448 eV per atom
* energy of formation: -2.9747 eV/atom